[1]
{"formula": "KEuHfBiO6", "functional": "PBE", "state": "relaxed", "crystal_system": "orthorhombic", "lattice_angstrom": [[8.3790, 0.0000, 0.0000], [0.0000, 8.4261, 0.0000], [0.0000, 0.0000, 8.4653]], "species": ["K", "K", "K", "K", "Eu", "Eu", "Eu", "Eu", "Hf", "Hf", "Hf", "Hf", "Bi", "Bi", "Bi", "Bi", "O", "O", "O", "O", "O", "O", "O", "O", "O", "O", "O", "O", "O", "O", "O", "O", "O", "O", "O", "O", "O", "O", "O", "O"], "frac_coords": [[0.2500, 0.2500, 0.2500], [0.2500, 0.7500, 0.7500], [0.7500, 0.2500, 0.2500], [0.7500, 0.7500, 0.7500], [0.2500, 0.2500, 0.7500], [0.2500, 0.7500, 0.2500], [0.7500, 0.2500, 0.7500], [0.7500, 0.7500, 0.2500], [0.0000, 0.0000, 0.0000], [0.0000, 0.5000, 0.5000], [0.5000, 0.0000, 0.5000], [0.5000, 0.5000, 0.0000], [0.0000, 0.0000, 0.5000], [0.0000, 0.5000, 0.0000], [0.5000, 0.0000, 0.0000], [0.5000, 0.5000, 0.5000], [0.0185, 0.0370, 0.7546], [0.0185, 0.4630, 0.7454], [0.0198, 0.7448, 0.5023], [0.0198, 0.7552, 0.9977], [0.2447, 0.0158, 0.0174], [0.2447, 0.4842, 0.4826], [0.2553, 0.0158, 0.4826], [0.2553, 0.4842, 0.0174], [0.4802, 0.7448, 0.9977], [0.4802, 0.7552, 0.5023], [0.4815, 0.0370, 0.7454], [0.4815, 0.4630, 0.7546], [0.5185, 0.5370, 0.2454], [0.5185, 0.9630, 0.2546], [0.5198, 0.2448, 0.4977], [0.5198, 0.2552, 0.0023], [0.7447, 0.5158, 0.9826], [0.7447, 0.9842, 0.5174], [0.7553, 0.5158, 0.5174], [0.7553, 0.9842, 0.9826], [0.9802, 0.2448, 0.0023], [0.9802, 0.2552, 0.4977], [0.9815, 0.5370, 0.2546], [0.9815, 0.9630, 0.2454]]}

[2]
{"formula": "EuHg2Bi", "functional": "PBE", "state": "relaxed", "crystal_system": "cubic", "lattice_angstrom": [[7.7720, 0.0000, 0.0000], [0.0000, 7.7720, 0.0000], [0.0000, 0.0000, 7.7720]], "species": ["Eu", "Eu", "Eu", "Eu", "Hg", "Hg", "Hg", "Hg", "Hg", "Hg", "Hg", "Hg", "Bi", "Bi", "Bi", "Bi"], "frac_coords": [[0.0000, 0.0000, 0.0000], [0.0000, 0.5000, 0.5000], [0.5000, 0.0000, 0.5000], [0.5000, 0.5000, 0.0000], [0.2500, 0.2500, 0.2500], [0.2500, 0.2500, 0.7500], [0.2500, 0.7500, 0.2500], [0.2500, 0.7500, 0.7500], [0.7500, 0.2500, 0.2500], [0.7500, 0.2500, 0.7500], [0.7500, 0.7500, 0.2500], [0.7500, 0.7500, 0.7500], [0.0000, 0.0000, 0.5000], [0.0000, 0.5000, 0.0000], [0.5000, 0.0000, 0.0000], [0.5000, 0.5000, 0.5000]]}

[3]
{"formula": "EuBi2IO4", "functional": "PBE", "state": "relaxed", "crystal_system": "tetragonal", "lattice_angstrom": [[3.9803, 0.0000, 0.0000], [0.0000, 3.9803, 0.0000], [0.0000, 0.0000, 9.8057]], "species": ["Eu", "Bi", "Bi", "I", "O", "O", "O", "O"], "frac_coords": [[0.0000, 0.0000, 0.0000], [0.5000, 0.5000, 0.2582], [0.5000, 0.5000, 0.7418], [0.0000, 0.0000, 0.5000], [0.0000, 0.5000, 0.1470], [0.0000, 0.5000, 0.8530], [0.5000, 0.0000, 0.1470], [0.5000, 0.0000, 0.8530]]}

| no. | ΔE_f (meV per atom) | total moment (μB/cell) | E_tot (eV/atom) |
| --- | --- | --- | --- |
| 1 | -2676 | 27.20 | -7.754 |
| 2 | -420 | 28.20 | -4.108 |
| 3 | -2019 | 6.00 | -6.595 |